# 1
# V3Cd

A relaxed V3Cd crystal (PBE-GGA, the Materials Project database).

## Properties
Formation energy   333 meV per atom
E   -6.71 eV per atom
Spin magnetization   1.36 μB per formula unit
Energy relative to the lowest polymorph listed for this composition   1 meV/atom

a = 5.6557 Å, b = 5.6557 Å, c = 4.4854 Å
α = 90.00°, β = 90.00°, γ = 120.00°
Space group P6_3/mmc (No. 194)
Inequivalent atoms, fractional coordinates:
V 0.1510 0.3020 0.2500 (multiplicity 6)
Cd 0.3333 0.6667 0.7500 (multiplicity 2)


# 2
# Cd2P2H10CCl2O11

A relaxed Cd2P2H10CCl2O11 crystal (PBE-GGA, the Materials Project database).

## Properties
Formation energy   -1460 meV per atom
E   -5.26 eV per atom
Spin magnetization   0.00 μB per formula unit
MP2020-corrected energy   -5.53 eV/atom

a = 5.7224 Å, b = 9.6817 Å, c = 12.5353 Å
α = 78.19°, β = 82.17°, γ = 75.11°
Space group P-1 (No. 2)
Inequivalent atoms, fractional coordinates:
Cd 0.1391 0.0687 0.2506 (multiplicity 2)
Cd 0.2525 0.4033 0.9189 (multiplicity 2)
P 0.1460 0.7401 0.1822 (multiplicity 2)
P 0.3088 0.3965 0.1867 (multiplicity 2)
H 0.0584 0.8305 0.9635 (multiplicity 2)
H 0.1306 0.1671 0.6191 (multiplicity 2)
H 0.2132 0.2698 0.5124 (multiplicity 2)
H 0.2260 0.8491 0.5692 (multiplicity 2)
H 0.2370 0.7514 0.8760 (multiplicity 2)
H 0.2630 0.0444 0.4641 (multiplicity 2)
H 0.3812 0.9477 0.8745 (multiplicity 2)
H 0.3828 0.8014 0.6731 (multiplicity 2)
H 0.4525 0.9093 0.4237 (multiplicity 2)
H 0.4934 0.0825 0.8811 (multiplicity 2)
C 0.1685 0.5501 0.2635 (multiplicity 2)
Cl 0.1351 0.4671 0.6873 (multiplicity 2)
Cl 0.3294 0.5263 0.3814 (multiplicity 2)
O 0.0333 0.2438 0.9037 (multiplicity 2)
O 0.0522 0.8426 0.2649 (multiplicity 2)
O 0.1343 0.4195 0.0968 (multiplicity 2)
O 0.1348 0.8490 0.8869 (multiplicity 2)
O 0.2159 0.8307 0.6496 (multiplicity 2)
O 0.2461 0.1696 0.5506 (multiplicity 2)
O 0.2768 0.9608 0.4267 (multiplicity 2)
O 0.3177 0.2551 0.2693 (multiplicity 2)
O 0.4012 0.7481 0.1298 (multiplicity 2)
O 0.4356 0.5886 0.8607 (multiplicity 2)
O 0.4673 0.0207 0.1262 (multiplicity 2)


# 3
# Nb6C5

A relaxed Nb6C5 crystal (PBE-GGA, the Materials Project database).

## Properties
Formation energy   -545 meV per atom
E   -10.25 eV per atom

a = 5.5211 Å, b = 9.5373 Å, c = 5.5121 Å
α = 90.00°, β = 109.68°, γ = 90.00°
Space group C2/m (No. 12)
Inequivalent atoms, fractional coordinates:
Nb 0.2356 0.0000 0.2644 (multiplicity 4)
Nb 0.2403 0.1766 0.7463 (multiplicity 8)
C 0.0000 0.0000 0.5000 (multiplicity 2)
C 0.0000 0.1648 0.0000 (multiplicity 4)
C 0.0000 0.3332 0.5000 (multiplicity 4)


# 4
# ZnBr2O12

A relaxed ZnBr2O12 crystal (PBE-GGA, the Materials Project database).

## Properties
Formation energy   359 meV per atom
E   -3.35 eV per atom
Spin magnetization   12.00 μB per formula unit
MP2020-corrected energy   -3.90 eV/atom

a = 9.5797 Å, b = 9.5797 Å, c = 9.5797 Å
α = 90.00°, β = 90.00°, γ = 90.00°
Space group Pa-3 (No. 205)
Inequivalent atoms, fractional coordinates:
Zn 0.0000 0.0000 0.0000 (multiplicity 4)
Br 0.2414 0.7414 0.7586 (multiplicity 8)
O 0.0395 0.6978 0.4532 (multiplicity 24)
O 0.1202 0.1590 0.6824 (multiplicity 24)


# 5
# As8S9

A relaxed As8S9 crystal (PBE-GGA, the Materials Project database).

## Properties
Formation energy   -396 meV per atom
E   -4.51 eV per atom
Energy relative to the lowest polymorph listed for this composition   0 meV/atom
MP2020-corrected energy   -4.78 eV/atom

a = 10.6434 Å, b = 10.2425 Å, c = 9.6405 Å
α = 90.00°, β = 101.23°, γ = 90.00°
Space group P2/c (No. 13)
Inequivalent atoms, fractional coordinates:
As 0.0175 0.2294 0.4354 (multiplicity 4)
As 0.1580 0.4124 0.3472 (multiplicity 4)
As 0.3824 0.0374 0.6817 (multiplicity 4)
As 0.4393 0.3164 0.9281 (multiplicity 4)
S 0.0000 0.0912 0.2500 (multiplicity 2)
S 0.0000 0.4489 0.7500 (multiplicity 2)
S 0.1767 0.3213 0.1388 (multiplicity 4)
S 0.2915 0.1691 0.8225 (multiplicity 4)
S 0.4007 0.1695 0.4969 (multiplicity 4)
S 0.5000 0.4328 0.7500 (multiplicity 2)


# 6
# VHg3

A relaxed VHg3 crystal (PBE-GGA, the Materials Project database).

## Properties
Formation energy   358 meV per atom
E   -2.14 eV per atom
Spin magnetization   2.86 μB per formula unit

a = 6.2872 Å, b = 6.2872 Å, c = 4.9173 Å
α = 90.00°, β = 90.00°, γ = 120.00°
Space group P6_3/mmc (No. 194)
Inequivalent atoms, fractional coordinates:
V 0.3333 0.6667 0.2500 (multiplicity 2)
Hg 0.1712 0.3424 0.7500 (multiplicity 6)


# 7
# ErAlPd

A relaxed ErAlPd crystal (PBE-GGA, the Materials Project database).

## Properties
Formation energy   -893 meV per atom
E   -5.39 eV per atom

a = 6.8590 Å, b = 4.4259 Å, c = 7.7709 Å
α = 90.00°, β = 90.00°, γ = 90.00°
Space group Pnma (No. 62)
Inequivalent atoms, fractional coordinates:
Er 0.0325 0.2500 0.1786 (multiplicity 4)
Al 0.1429 0.2500 0.5601 (multiplicity 4)
Pd 0.2291 0.7500 0.3787 (multiplicity 4)


# 8
# MgNb5P9O36

A relaxed MgNb5P9O36 crystal (PBE-GGA, the Materials Project database).

## Properties
Formation energy   -2879 meV per atom
E   -7.86 eV per atom
Spin magnetization   0.00 μB per formula unit
MP2020-corrected energy   -8.35 eV/atom

a = 8.7990 Å, b = 8.7990 Å, c = 22.6538 Å
α = 90.00°, β = 90.00°, γ = 120.00°
Space group P3c1 (No. 158)
Inequivalent atoms, fractional coordinates:
Mg 0.0000 0.0000 0.0000 (multiplicity 2)
Nb 0.0000 0.0000 0.2879 (multiplicity 2)
Nb 0.3333 0.6667 0.1652 (multiplicity 2)
Nb 0.3333 0.6667 0.4531 (multiplicity 2)
Nb 0.6667 0.3333 0.1167 (multiplicity 2)
Nb 0.6667 0.3333 0.3350 (multiplicity 2)
P 0.0005 0.2834 0.3952 (multiplicity 6)
P 0.0491 0.3770 0.0593 (multiplicity 6)
P 0.3822 0.0491 0.7263 (multiplicity 6)
O 0.0275 0.2002 0.0530 (multiplicity 6)
O 0.0299 0.1991 0.3382 (multiplicity 6)
O 0.1340 0.5007 0.0053 (multiplicity 6)
O 0.1351 0.4943 0.7169 (multiplicity 6)
O 0.1627 0.4704 0.4021 (multiplicity 6)
O 0.1636 0.4741 0.1152 (multiplicity 6)
O 0.1982 0.0272 0.7368 (multiplicity 6)
O 0.2094 0.0369 0.4485 (multiplicity 6)
O 0.4666 0.1650 0.6716 (multiplicity 6)
O 0.4712 0.1592 0.3809 (multiplicity 6)
O 0.4969 0.1337 0.7813 (multiplicity 6)
O 0.5005 0.1334 0.0704 (multiplicity 6)


# 9
# NaZrNbP3O12

A relaxed NaZrNbP3O12 crystal (PBE-GGA, the Materials Project database).

## Properties
Formation energy   -2969 meV per atom
E   -7.82 eV per atom
Spin magnetization   1.00 μB per formula unit
MP2020-corrected energy   -8.28 eV/atom

a = 8.9287 Å, b = 8.9287 Å, c = 22.6841 Å
α = 90.00°, β = 90.00°, γ = 120.00°
Space group R3c (No. 161, hexagonal axes)
Inequivalent atoms, fractional coordinates:
Na 0.0000 0.0000 0.0000 (multiplicity 6)
Zr 0.0000 0.0000 0.1456 (multiplicity 6)
Nb 0.0000 0.0000 0.3572 (multiplicity 6)
P 0.0452 0.3763 0.4187 (multiplicity 18)
O 0.0131 0.1968 0.6970 (multiplicity 18)
O 0.0265 0.1939 0.4157 (multiplicity 18)
O 0.1492 0.4651 0.4754 (multiplicity 18)
O 0.1604 0.4696 0.7543 (multiplicity 18)


# 10
# Sb4Se3SI4

A relaxed Sb4Se3SI4 crystal (PBE-GGA, the Materials Project database).

## Properties
Formation energy   -481 meV per atom
E   -3.42 eV per atom
Spin magnetization   0.00 μB per formula unit
MP2020-corrected energy   -3.58 eV/atom

a = 9.1182 Å, b = 4.1772 Å, c = 10.7821 Å
α = 90.00°, β = 90.09°, γ = 90.00°
Space group Pm (No. 6)
Inequivalent atoms, fractional coordinates:
Sb 0.0000 0.0000 0.0000 (multiplicity 1)
Sb 0.2148 0.5000 0.7518 (multiplicity 1)
Sb 0.4952 0.0000 0.2448 (multiplicity 1)
Sb 0.7135 0.5000 0.5023 (multiplicity 1)
Se 0.4431 0.5000 0.4172 (multiplicity 1)
Se 0.7669 0.0000 0.3305 (multiplicity 1)
Se 0.9412 0.5000 0.8299 (multiplicity 1)
S 0.2532 0.0000 0.9120 (multiplicity 1)
I 0.0985 0.0000 0.5592 (multiplicity 1)
I 0.1252 0.5000 0.1936 (multiplicity 1)
I 0.5899 0.0000 0.6958 (multiplicity 1)
I 0.6169 0.5000 0.0525 (multiplicity 1)


# 11
# Zr2N2O

A relaxed Zr2N2O crystal (PBE-GGA, the Materials Project database).

## Properties
Formation energy   -2115 meV per atom
E   -9.72 eV per atom
Spin magnetization   0.00 μB per formula unit
MP2020-corrected energy   -9.86 eV/atom

a = 9.5379 Å, b = 5.6191 Å, c = 5.9270 Å
α = 90.00°, β = 123.40°, γ = 90.00°
Space group Cc (No. 9)
Inequivalent atoms, fractional coordinates:
Zr 0.0000 0.2322 0.0000 (multiplicity 4)
Zr 0.2905 0.2390 0.8519 (multiplicity 4)
N 0.2572 0.0994 0.1726 (multiplicity 4)
N 0.4079 0.4535 0.6906 (multiplicity 4)
O 0.0551 0.4045 0.6645 (multiplicity 4)


# 12
# TiNbRe2

A relaxed TiNbRe2 crystal (PBE-GGA, the Materials Project database).

## Properties
Formation energy   -374 meV per atom
E   -11.10 eV per atom

a = 6.3402 Å, b = 6.3402 Å, c = 6.3402 Å
α = 90.00°, β = 90.00°, γ = 90.00°
Space group Fm-3m (No. 225)
Inequivalent atoms, fractional coordinates:
Ti 0.0000 0.0000 0.0000 (multiplicity 4)
Nb 0.0000 0.0000 0.5000 (multiplicity 4)
Re 0.2500 0.2500 0.2500 (multiplicity 8)